Record 1
# PBE Ca5Ir2N6, optimized geometry
data_Ca5Ir2N6
_symmetry_space_group_name_H-M 'C 1 2/c 1'
_symmetry_Int_Tables_number 15
_symmetry_space_group_name_Hall '-C 2yc'
_cell_length_a 10.0595
_cell_length_b 6.7274
_cell_length_c 12.4610
_cell_angle_alpha 90.00
_cell_angle_beta 103.94
_cell_angle_gamma 90.00
loop_
_atom_site_label
_atom_site_fract_x
_atom_site_fract_y
_atom_site_fract_z
Ca1 0.0000 0.1256 0.2500
Ca2 0.0597 0.2431 0.0008
Ca3 0.1615 0.3774 0.7235
Ir1 0.2319 0.4338 0.4469
N1 0.0438 0.4605 0.3725
N2 0.1342 0.0391 0.6403
N3 0.2089 0.0062 0.4047
# DFT total energy ... -83.9 eV per formula unit
# Energy relative to the elements ... -802 kJ/mol of formula units

---

Record 2
# PBE Na2Zr4In4Si3S9O48, optimized geometry
data_Na2Zr4In4Si3S9O48
_symmetry_space_group_name_H-M 'P 1'
_symmetry_Int_Tables_number 1
_symmetry_space_group_name_Hall 'P 1'
_cell_length_a 8.9516
_cell_length_b 15.5564
_cell_length_c 23.5655
_cell_angle_alpha 89.67
_cell_angle_beta 89.80
_cell_angle_gamma 89.96
loop_
_atom_site_label
_atom_site_fract_x
_atom_site_fract_y
_atom_site_fract_z
Na1 0.0000 0.0000 0.0000
Na2 0.0008 0.9995 0.4875
Na3 0.0235 0.3328 0.6583
Na4 0.4925 0.8314 0.1635
Na5 0.5107 0.5080 0.4943
Na6 0.5125 0.5028 0.9893
Zr1 0.0003 0.3232 0.0166
Zr2 0.0054 0.9902 0.8409
Zr3 0.0076 0.9911 0.3437
Zr4 0.0121 0.6670 0.1829
Zr5 0.5051 0.1652 0.6805
Zr6 0.5052 0.4950 0.3448
Zr7 0.5084 0.4928 0.8423
Zr8 0.5117 0.8154 0.5134
Zr9 0.5210 0.8209 0.8035
Zr10 0.5226 0.1656 0.1814
Zr11 0.9926 0.3216 0.3038
Zr12 0.9958 0.6650 0.6777
In1 0.0030 0.9931 0.6387
In2 0.0042 0.3245 0.5063
In3 0.0035 0.6595 0.4707
In4 0.0089 0.9967 0.1404
In5 0.0202 0.3285 0.8063
In6 0.4856 0.8262 0.3080
In7 0.5048 0.4961 0.6379
In8 0.5106 0.4924 0.1418
In9 0.5112 0.8235 0.0076
In10 0.5160 0.1583 0.9736
In11 0.5164 0.1613 0.4678
In12 0.9993 0.6626 0.9684
Si1 0.1624 0.8550 0.2375
Si2 0.3550 0.6787 0.4085
Si3 0.3564 0.3528 0.7386
Si4 0.6506 0.3530 0.2399
Si5 0.6523 0.6780 0.9103
Si6 0.7180 0.6532 0.5720
Si7 0.7990 0.1516 0.0728
Si8 0.8638 0.1784 0.4106
Si9 0.8642 0.8496 0.7382
S1 0.1504 0.5098 0.5736
S2 0.1515 0.8100 0.5735
S3 0.1538 0.4725 0.9093
S4 0.1545 0.1398 0.2403
S5 0.1566 0.1808 0.9096
S6 0.2161 0.4933 0.2405
S7 0.2170 0.1598 0.5745
S8 0.2172 0.8305 0.9082
S9 0.2975 0.3281 0.4082
S10 0.2977 0.6591 0.0742
S11 0.2977 0.9935 0.7404
S12 0.3595 0.6397 0.7404
S13 0.3611 0.9739 0.4093
S14 0.3634 0.0116 0.0719
S15 0.3645 0.3084 0.0723
S16 0.6509 0.6418 0.2387
S17 0.6523 0.9750 0.9065
S18 0.6541 0.0170 0.5735
S19 0.6543 0.3054 0.5739
S20 0.7131 0.9902 0.2412
S21 0.7201 0.3264 0.9068
S22 0.7933 0.8292 0.4061
S23 0.8015 0.4915 0.7402
S24 0.8586 0.5170 0.0732
S25 0.8613 0.4719 0.4063
S26 0.8610 0.8059 0.0742
S27 0.8649 0.1410 0.7397
O1 0.0756 0.4224 0.5707
O2 0.0786 0.1085 0.1893
O3 0.0817 0.7583 0.2285
O4 0.0850 0.0946 0.9039
O5 0.0847 0.7713 0.5232
O6 0.0859 0.2245 0.9593
O7 0.0867 0.4367 0.8575
O8 0.0873 0.8981 0.2937
O9 0.0876 0.8985 0.5788
O10 0.0917 0.5530 0.6250
O11 0.0946 0.5593 0.9176
O12 0.0988 0.2277 0.2515
O13 0.1162 0.9081 0.9003
O14 0.1190 0.5704 0.2314
O15 0.1198 0.0822 0.5809
O16 0.1218 0.5593 0.5216
O17 0.1231 0.7571 0.6253
O18 0.1240 0.0842 0.2904
O19 0.1236 0.4162 0.9592
O20 0.1236 0.4183 0.2522
O21 0.1258 0.2395 0.5737
O22 0.1256 0.7529 0.9146
O23 0.1279 0.9078 0.1802
O24 0.1312 0.2313 0.8574
O25 0.1768 0.3354 0.7442
O26 0.1799 0.6667 0.4198
O27 0.1934 0.9793 0.4029
O28 0.1981 0.0116 0.7905
O29 0.1975 0.6441 0.7329
O30 0.1976 0.6646 0.1247
O31 0.1986 0.3166 0.0643
O32 0.1996 0.9998 0.0756
O33 0.2016 0.3208 0.3579
O34 0.2089 0.6486 0.0219
O35 0.2092 0.9795 0.6892
O36 0.2115 0.3479 0.4607
O37 0.3023 0.4786 0.1876
O38 0.3035 0.8496 0.9603
O39 0.3062 0.1494 0.5226
O40 0.3120 0.8228 0.8577
O41 0.3148 0.4982 0.5771
O42 0.3146 0.5119 0.2891
O43 0.3164 0.1654 0.6257
O44 0.3159 0.8189 0.5673
O45 0.3176 0.1444 0.2312
O46 0.3186 0.1714 0.9186
O47 0.3205 0.4778 0.9029
O48 0.3415 0.8407 0.2403
O49 0.3855 0.7315 0.3507
O50 0.3866 0.2495 0.4146
O51 0.3870 0.4095 0.6829
O52 0.3878 0.7391 0.0729
O53 0.3890 0.0619 0.0188
O54 0.3895 0.2552 0.1231
O55 0.3902 0.9187 0.4593
O56 0.3899 0.9187 0.7532
O57 0.3915 0.5842 0.7914
O58 0.3939 0.0708 0.7326
O59 0.3957 0.5814 0.0802
O60 0.3987 0.4042 0.4003
O61 0.4165 0.0620 0.4173
O62 0.4169 0.7276 0.7519
O63 0.4239 0.0548 0.1221
O64 0.4262 0.3968 0.0772
O65 0.4292 0.2699 0.0205
O66 0.4291 0.9405 0.3570
O67 0.4299 0.3962 0.7956
O68 0.4360 0.2568 0.7282
O69 0.4372 0.5832 0.4017
O70 0.4367 0.6075 0.6901
O71 0.4366 0.7261 0.4639
O72 0.4393 0.9248 0.0675
O73 0.5691 0.7153 0.9668
O74 0.5727 0.2574 0.2323
O75 0.5756 0.4011 0.2940
O76 0.5763 0.5825 0.8989
O77 0.5799 0.6066 0.1868
O78 0.5816 0.0600 0.9098
O79 0.5847 0.9321 0.5668
O80 0.5864 0.3909 0.5792
O81 0.5899 0.9298 0.8572
O82 0.5925 0.2653 0.5230
O83 0.5944 0.0592 0.6254
O84 0.5978 0.7303 0.2451
O85 0.6063 0.5710 0.5783
O86 0.6103 0.7388 0.8549
O87 0.6141 0.0669 0.2343
O88 0.6185 0.2506 0.6253
O89 0.6213 0.2523 0.9142
O90 0.6207 0.5876 0.2888
O91 0.6206 0.9130 0.2501
O92 0.6219 0.7429 0.5658
O93 0.6263 0.0712 0.5231
O94 0.6285 0.4066 0.9023
O95 0.6354 0.4054 0.1809
O96 0.6365 0.9243 0.9595
O97 0.6845 0.1723 0.4125
O98 0.6866 0.8400 0.7518
O99 0.6920 0.1683 0.1280
O100 0.6933 0.5067 0.0766
O101 0.6945 0.8124 0.0724
O102 0.6959 0.4801 0.3983
O103 0.6976 0.8441 0.4570
O104 0.6999 0.1435 0.7323
O105 0.7055 0.5062 0.7915
O106 0.7048 0.8222 0.3540
O107 0.7084 0.1389 0.0144
O108 0.7116 0.4789 0.6893
O109 0.8002 0.9779 0.1888
O110 0.8106 0.0061 0.2909
O111 0.8121 0.3156 0.8553
O112 0.8172 0.6407 0.5157
O113 0.8170 0.6428 0.2300
O114 0.8185 0.3387 0.9574
O115 0.8188 0.9865 0.8979
O116 0.8204 0.3117 0.5724
O117 0.8211 0.0095 0.5769
O118 0.8237 0.6665 0.6288
O119 0.8284 0.3399 0.2513
O120 0.8315 0.6713 0.9128
O121 0.8788 0.4220 0.4596
O122 0.8827 0.9094 0.6835
O123 0.8886 0.5686 0.0218
O124 0.8899 0.7540 0.4130
O125 0.8906 0.9085 0.4021
O126 0.8935 0.4131 0.7488
O127 0.8953 0.0866 0.7907
O128 0.8963 0.7506 0.1246
O129 0.9002 0.2408 0.0629
O130 0.9003 0.5671 0.7339
O131 0.9053 0.2389 0.3550
O132 0.9129 0.0714 0.0796
O133 0.9214 0.2287 0.7485
O134 0.9216 0.5559 0.1243
O135 0.9232 0.7664 0.0224
O136 0.9274 0.4268 0.3573
O137 0.9283 0.4300 0.0650
O138 0.9281 0.5578 0.4087
O139 0.9282 0.8915 0.0788
O140 0.9378 0.1060 0.6888
O141 0.9380 0.8978 0.7951
O142 0.9400 0.0833 0.3985
O143 0.9431 0.7559 0.7321
O144 0.9454 0.2148 0.4674
# DFT total energy ... -474.3 eV per formula unit
# Energy relative to the elements ... -16253 kJ/mol of formula units

---

Record 3
# PBE SrMg14Sb, optimized geometry
data_SrMg14Sb
_symmetry_space_group_name_H-M 'P -6 m 2'
_symmetry_Int_Tables_number 187
_symmetry_space_group_name_Hall 'P -6 2'
_cell_length_a 6.5565
_cell_length_b 6.5565
_cell_length_c 10.6080
_cell_angle_alpha 90.00
_cell_angle_beta 90.00
_cell_angle_gamma 120.00
loop_
_atom_site_label
_atom_site_fract_x
_atom_site_fract_y
_atom_site_fract_z
Sr1 0.0000 0.0000 0.0000
Mg1 0.0071 0.5036 0.0000
Mg2 0.1702 0.3403 0.2569
Mg3 0.5023 0.0047 0.5000
Mg4 0.6667 0.3333 0.2449
Sb1 0.0000 0.0000 0.5000
# Relative energy among the computed polymorphs ... 49.3 meV/atom
# DFT total energy ... -28.0 eV per formula unit
# Energy relative to the elements ... 4 kJ/mol of formula units

---

Record 4
# PBE ZnBSe2, optimized geometry
data_ZnBSe2
_symmetry_space_group_name_H-M 'F -4 3 m'
_symmetry_Int_Tables_number 216
_symmetry_space_group_name_Hall 'F -4 2 3'
_cell_length_a 6.4950
_cell_length_b 6.4950
_cell_length_c 6.4950
_cell_angle_alpha 90.00
_cell_angle_beta 90.00
_cell_angle_gamma 90.00
loop_
_atom_site_label
_atom_site_fract_x
_atom_site_fract_y
_atom_site_fract_z
Zn1 0.0000 0.0000 0.0000
B1 0.2500 0.2500 0.2500
Se1 0.0000 0.0000 0.5000
Se2 0.2500 0.2500 0.7500
# DFT total energy ... -10.4 eV per formula unit
# Energy relative to the elements ... 346 kJ/mol of formula units

---

Record 5
# PBE Pr3InO, optimized geometry
data_Pr3InO
_symmetry_space_group_name_H-M 'P m -3 m'
_symmetry_Int_Tables_number 221
_symmetry_space_group_name_Hall '-P 4 2 3'
_cell_length_a 5.0333
_cell_length_b 5.0333
_cell_length_c 5.0333
_cell_angle_alpha 90.00
_cell_angle_beta 90.00
_cell_angle_gamma 90.00
loop_
_atom_site_label
_atom_site_fract_x
_atom_site_fract_y
_atom_site_fract_z
Pr1 0.0000 0.0000 0.5000
In1 0.5000 0.5000 0.5000
O1 0.0000 0.0000 0.0000
# DFT total energy ... -29.0 eV per formula unit
# Energy relative to the elements ... -734 kJ/mol of formula units

---

Record 6
# PBE BaSr2UO6, optimized geometry
data_BaSr2UO6
_symmetry_space_group_name_H-M 'P 1 c 1'
_symmetry_Int_Tables_number 7
_symmetry_space_group_name_Hall 'P -2yc'
_cell_length_a 6.1898
_cell_length_b 6.3187
_cell_length_c 10.7787
_cell_angle_alpha 90.00
_cell_angle_beta 124.83
_cell_angle_gamma 90.00
loop_
_atom_site_label
_atom_site_fract_x
_atom_site_fract_y
_atom_site_fract_z
Ba1 0.0000 0.2115 0.0000
Sr1 0.2554 0.2420 0.7493
Sr2 0.5121 0.2991 0.5015
U1 0.7573 0.2550 0.2501
O1 0.0894 0.2210 0.4766
O2 0.4444 0.2981 0.0216
O3 0.5227 0.0880 0.3009
O4 0.6279 0.4658 0.7949
O5 0.8620 0.0278 0.6910
O6 0.9894 0.4368 0.2068
# DFT total energy ... -77.3 eV per formula unit
# Energy relative to the elements ... -3388 kJ/mol of formula units

---

Record 7
# PBE Gd2CuGe2O8, optimized geometry
data_Gd2CuGe2O8
_symmetry_space_group_name_H-M 'C 1 m 1'
_symmetry_Int_Tables_number 8
_symmetry_space_group_name_Hall 'C -2y'
_cell_length_a 9.7373
_cell_length_b 15.2363
_cell_length_c 5.1767
_cell_angle_alpha 90.00
_cell_angle_beta 121.34
_cell_angle_gamma 90.00
loop_
_atom_site_label
_atom_site_fract_x
_atom_site_fract_y
_atom_site_fract_z
Gd1 0.0000 0.1202 0.0000
Gd2 0.4960 0.1208 0.5047
Cu1 0.2863 0.2071 0.8047
Ge1 0.2409 0.2898 0.2639
Ge2 0.2524 0.5000 0.2065
Ge3 0.2561 0.0000 0.8068
O1 0.0597 0.2661 0.2568
O2 0.0840 0.0000 0.8460
O3 0.0845 0.5000 0.8313
O4 0.2446 0.1720 0.1103
O5 0.2507 0.3287 0.9409
O6 0.2532 0.4078 0.4251
O7 0.2607 0.0937 0.6013
O8 0.4102 0.2588 0.6295
O9 0.4212 0.0000 0.1907
O10 0.4249 0.5000 0.1727
# DFT total energy ... -110.4 eV per formula unit
# Energy relative to the elements ... -3361 kJ/mol of formula units

---

Record 8
# PBE NdTlSe2, optimized geometry
data_NdTlSe2
_symmetry_space_group_name_H-M 'R -3 m'
_symmetry_Int_Tables_number 166
_symmetry_space_group_name_Hall '-R 3 2"'
_cell_length_a 4.3313
_cell_length_b 4.3313
_cell_length_c 23.3309
_cell_angle_alpha 90.00
_cell_angle_beta 90.00
_cell_angle_gamma 120.00
loop_
_atom_site_label
_atom_site_fract_x
_atom_site_fract_y
_atom_site_fract_z
Nd1 0.0000 0.0000 0.0000
Tl1 0.0000 0.0000 0.5000
Se1 0.0000 0.0000 0.2633
# DFT total energy ... -19.6 eV per formula unit
# Energy relative to the elements ... -622 kJ/mol of formula units